Br: optimized geometry, PBE-GGA.

Output
- energy above the lowest structure with this stoichiometry (meV/atom) = 600.2
- size of the total moment (μB per cell) = 2.5

abc: 4.594 4.594 4.594
angles: 90.00 90.00 90.00
Fractional coordinates of all 3 atoms:
1 Br 0.500 0.000 0.000
2 Br 0.000 0.500 0.000
3 Br 0.000 0.000 0.500

=====

Li3Ti2P3O12: optimized geometry, PBE-GGA.

Output
- energy above the lowest structure with this stoichiometry (meV/atom) = 22.0
- size of the total moment (μB per cell) = 8.0

abc: 9.843 9.843 9.823
angles: 85.73 85.73 85.24
Fractional coordinates of all 80 atoms:
1 Li 0.011 0.495 0.771
2 Li 0.375 0.251 0.202
3 Li 0.213 0.444 0.532
4 Li 0.237 0.264 0.818
5 Li 0.707 0.065 0.024
6 Li 0.999 0.741 0.605
7 Li 0.259 0.001 0.395
8 Li 0.935 0.293 0.976
9 Li 0.736 0.763 0.182
10 Li 0.556 0.787 0.468
11 Li 0.749 0.625 0.798
12 Li 0.505 0.989 0.229
13 Ti 0.035 0.749 0.212
14 Ti 0.748 0.040 0.711
15 Ti 0.536 0.464 0.500
16 Ti 0.748 0.252 0.500
17 Ti 0.248 0.752 0.000
18 Ti 0.462 0.538 0.000
19 Ti 0.960 0.252 0.289
20 Ti 0.251 0.965 0.788
21 P 0.173 0.057 0.099
22 P 0.055 0.179 0.597
23 P 0.155 0.445 0.073
24 P 0.440 0.161 0.572
25 P 0.651 0.319 0.194
26 P 0.342 0.682 0.305
27 P 0.318 0.658 0.695
28 P 0.681 0.349 0.806
29 P 0.839 0.560 0.428
30 P 0.555 0.845 0.927
31 P 0.821 0.945 0.403
32 P 0.943 0.827 0.901
33 O 0.032 0.130 0.136
34 O 0.118 0.040 0.655
35 O 0.083 0.184 0.438
36 O 0.203 0.092 0.942
37 O 0.286 0.090 0.187
38 O 0.107 0.303 0.659
39 O 0.091 0.382 0.208
40 O 0.399 0.095 0.448
41 O 0.370 0.114 0.712
42 O 0.101 0.394 0.943
43 O 0.123 0.604 0.074
44 O 0.313 0.411 0.074
45 O 0.582 0.193 0.155
46 O 0.407 0.321 0.558
47 O 0.600 0.129 0.582
48 O 0.191 0.600 0.647
49 O 0.183 0.689 0.331
50 O 0.697 0.192 0.843
51 O 0.395 0.544 0.373
52 O 0.622 0.330 0.354
53 O 0.823 0.105 0.370
54 O 0.161 0.898 0.125
55 O 0.544 0.408 0.869
56 O 0.380 0.676 0.146
57 O 0.324 0.620 0.854
58 O 0.592 0.456 0.131
59 O 0.102 0.839 0.875
60 O 0.895 0.177 0.630
61 O 0.670 0.378 0.646
62 O 0.456 0.605 0.627
63 O 0.808 0.303 0.157
64 O 0.311 0.817 0.669
65 O 0.400 0.809 0.353
66 O 0.871 0.400 0.418
67 O 0.679 0.593 0.442
68 O 0.807 0.418 0.845
69 O 0.589 0.687 0.926
70 O 0.396 0.877 0.926
71 O 0.606 0.899 0.057
72 O 0.886 0.630 0.288
73 O 0.905 0.601 0.552
74 O 0.618 0.909 0.792
75 O 0.697 0.893 0.341
76 O 0.910 0.714 0.813
77 O 0.908 0.797 0.058
78 O 0.816 0.917 0.562
79 O 0.960 0.882 0.345
80 O 0.870 0.968 0.864

=====

Li5AuO4: optimized geometry, PBE-GGA.

Output
- energy above the lowest structure with this stoichiometry (meV/atom) = 0.0

abc: 5.365 5.365 4.777
angles: 84.35 84.35 127.13
Fractional coordinates of all 10 atoms:
1 Li 0.790 0.210 0.500
2 Li 0.284 0.716 0.000
3 Li 0.716 0.284 0.000
4 Li 0.210 0.790 0.500
5 Li 0.000 0.000 0.000
6 Au 0.500 0.500 0.500
7 O 0.598 0.893 0.250
8 O 0.107 0.402 0.750
9 O 0.893 0.598 0.250
10 O 0.402 0.107 0.750

=====

TiSiPd: optimized geometry, PBE-GGA.

abc: 3.783 6.368 7.463
angles: 90.00 90.00 90.00
Fractional coordinates of all 12 atoms:
1 Ti 0.250 0.030 0.324
2 Ti 0.250 0.530 0.176
3 Ti 0.750 0.970 0.676
4 Ti 0.750 0.470 0.824
5 Si 0.250 0.255 0.626
6 Si 0.250 0.755 0.874
7 Si 0.750 0.745 0.374
8 Si 0.750 0.245 0.126
9 Pd 0.250 0.146 0.937
10 Pd 0.250 0.646 0.563
11 Pd 0.750 0.854 0.063
12 Pd 0.750 0.354 0.437

=====

| no. | energy of formation (kJ/mol of atoms) |
| --- | --- |
| 1 | 57.9 |
| 2 | -275.6 |
| 3 | -174.2 |
| 4 | -81.9 |